[1]
Below is an optimized crystal structure of EuGaO3, with properties calculated at the PBE level.

The structure in CIF format:
```
data_EuGaO3
_chemical_formula_sum 'Eu4 Ga4 O12'
_space_group_name_H-M_alt 'P n m a'
_space_group_IT_number 62
_space_group_name_Hall '-P 2ac 2n'
_cell_length_a 5.6236
_cell_length_b 7.6861
_cell_length_c 5.4636
_cell_angle_alpha 90.00
_cell_angle_beta 90.00
_cell_angle_gamma 90.00
loop_
_atom_site_label
_atom_site_type_symbol
_atom_site_fract_x
_atom_site_fract_y
_atom_site_fract_z
Eu1 Eu 0.0531 0.2500 0.0103
Ga1 Ga 0.0000 0.0000 0.5000
O1 O 0.0269 0.7500 0.4124
O2 O 0.2005 0.5450 0.7976
```



[2]
Below is an optimized crystal structure of UB4O8, with properties calculated at the PBE level.

The structure in CIF format:
```
data_UB4O8
_chemical_formula_sum 'U4 B16 O32'
_space_group_name_H-M_alt 'C 1 2/c 1'
_space_group_IT_number 15
_space_group_name_Hall '-C 2yc'
_cell_length_a 16.0669
_cell_length_b 4.2519
_cell_length_c 7.2866
_cell_angle_alpha 90.00
_cell_angle_beta 114.29
_cell_angle_gamma 90.00
loop_
_atom_site_label
_atom_site_type_symbol
_atom_site_fract_x
_atom_site_fract_y
_atom_site_fract_z
U1 U 0.0000 0.1567 0.2500
B1 B 0.1403 0.3140 0.9936
B2 B 0.1953 0.1950 0.7036
O1 O 0.0516 0.2313 0.9940
O2 O 0.1319 0.1942 0.7994
O3 O 0.1547 0.3482 0.5083
O4 O 0.2165 0.1467 0.1684
```



Number 1: calculated formation energy -2.690 eV per atom. Number 2: calculated formation energy -2.981 eV per atom.